Entry 1:
# Cs3Yb

A geometry-optimized Cs3Yb structure (r2SCAN, Materials Project).

The value obtained for the relative energy among the computed polymorphs is 0.021 eV/atom. The raw total energy is -27.28 eV per atom.

The structure belongs to space group Pm-3m (No. 221); the cell edges are 6.767, 6.767 and 6.767 Å and the angles 90.00°, 90.00° and 90.00°. The asymmetric unit holds Cs at (0.000, 0.000, 0.500) and Yb at (0.500, 0.500, 0.500).

***

Entry 2:
# CsYb3

A geometry-optimized CsYb3 structure (r2SCAN, Materials Project).

The value obtained for the relative energy among the computed polymorphs is 0.047 eV/atom. The raw total energy is -32.87 eV per atom.

The structure belongs to space group Pm-3m (No. 221); the cell edges are 5.265, 5.265 and 5.265 Å and the angles 90.00°, 90.00° and 90.00°. The asymmetric unit holds Cs at (0.000, 0.000, 0.000) and Yb at (0.000, 0.500, 0.500).

***

Entry 3:
# CsYb3

A geometry-optimized CsYb3 structure (r2SCAN, Materials Project).

The value obtained for the relative energy among the computed polymorphs is 0.000 eV/atom. The raw total energy is -32.91 eV per atom.

The structure belongs to space group I4/mmm (No. 139); the cell edges are 5.344, 5.344 and 10.117 Å and the angles 90.00°, 90.00° and 90.00°. The asymmetric unit holds Cs at (0.000, 0.000, 0.000), Yb at (0.000, 0.000, 0.500) and Yb at (0.000, 0.500, 0.250).

***

Repeat the third record exactly.
# CsYb3

A geometry-optimized CsYb3 structure (r2SCAN, Materials Project).

The value obtained for the relative energy among the computed polymorphs is 0.000 eV/atom. The raw total energy is -32.91 eV per atom.

The structure belongs to space group I4/mmm (No. 139); the cell edges are 5.344, 5.344 and 10.117 Å and the angles 90.00°, 90.00° and 90.00°. The asymmetric unit holds Cs at (0.000, 0.000, 0.000), Yb at (0.000, 0.000, 0.500) and Yb at (0.000, 0.500, 0.250).

***

Q: Which of these has the lowest relative energy among the computed polymorphs?
A: number 3